DFT (PBE) results for crystalline Ag4Sn3S8 at its relaxed geometry.

a b c (Å): 10.907 10.907 10.907
angles (deg): 90.00 90.00 90.00
Fractional positions:
Ag 0.375 0.625 0.125
Ag 0.125 0.375 0.625
Ag 0.625 0.125 0.375
Ag 0.875 0.875 0.875
Ag 0.855 0.895 0.375
Ag 0.645 0.105 0.875
Ag 0.145 0.395 0.125
Ag 0.355 0.605 0.625
Ag 0.895 0.375 0.855
Ag 0.105 0.875 0.645
Ag 0.395 0.125 0.145
Ag 0.605 0.625 0.355
Ag 0.375 0.855 0.895
Ag 0.875 0.645 0.105
Ag 0.125 0.145 0.395
Ag 0.625 0.355 0.605
Sn 0.114 0.636 0.375
Sn 0.386 0.364 0.875
Sn 0.886 0.136 0.125
Sn 0.614 0.864 0.625
Sn 0.636 0.375 0.114
Sn 0.364 0.875 0.386
Sn 0.136 0.125 0.886
Sn 0.864 0.625 0.614
Sn 0.375 0.114 0.636
Sn 0.875 0.386 0.364
Sn 0.125 0.886 0.136
Sn 0.625 0.614 0.864
S 0.351 0.638 0.388
S 0.149 0.362 0.888
S 0.649 0.138 0.112
S 0.851 0.862 0.612
S 0.638 0.388 0.351
S 0.362 0.888 0.149
S 0.138 0.112 0.649
S 0.862 0.612 0.851
S 0.388 0.351 0.638
S 0.888 0.149 0.362
S 0.112 0.649 0.138
S 0.612 0.851 0.862
S 0.399 0.362 0.112
S 0.601 0.862 0.388
S 0.101 0.638 0.612
S 0.899 0.138 0.888
S 0.112 0.399 0.362
S 0.388 0.601 0.862
S 0.612 0.101 0.638
S 0.888 0.899 0.138
S 0.362 0.112 0.399
S 0.862 0.388 0.601
S 0.638 0.612 0.101
S 0.138 0.888 0.899
S 0.121 0.879 0.379
S 0.379 0.121 0.879
S 0.879 0.379 0.121
S 0.621 0.621 0.621
S 0.629 0.371 0.871
S 0.371 0.871 0.629
S 0.871 0.629 0.371
S 0.129 0.129 0.129

Calculated values
Energy relative to the elements, eV/f.u.: -7.637
Theoretical density, g/cm3: 5.344
Space group: P4_132 (213)
Crystal system: cubic
M_tot, Bohr magnetons per cell: 0.00